1.
Compound: H2W2O7
Source: the Materials Project database
Functional: PBE with a Hubbard U
Structure: relaxed

Cell: 7.0633 7.0633 7.0633 Å, 118.12 118.12 93.28°
Fractional coordinates of all 22 atoms:
O 0.7820 0.2180 0.0000
O 0.7820 0.7820 0.5639
H 0.0841 0.5841 0.5000
W 0.8750 0.6250 0.7500
O 0.9833 0.4833 0.5000
O 0.7667 0.7667 0.0000
W 0.3750 0.1250 0.2500
O 0.9680 0.4680 0.9361
W 0.8750 0.1250 0.7500
O 0.5320 0.0320 0.0639
O 0.2180 0.7820 0.0000
O 0.5167 0.0167 0.5000
O 0.0000 0.0000 0.0000
O 0.2180 0.2180 0.4361
O 0.2333 0.2333 0.0000
O 0.5320 0.4680 0.5000
O 0.9680 0.0320 0.5000
H 0.4159 0.9159 0.5000
H 0.3341 0.3341 0.0000
W 0.8750 0.1250 0.2500
H 0.6659 0.6659 0.0000
O 0.7500 0.2500 0.5000

Computed properties:
Its crystal system is tetragonal. Its volume is 11.627 Å³/atom. As for the space-group type: I4_1/amd, No. 141. The calculation puts the total magnetization at 0.00 μB per cell.



2.
Compound: H2W2O7
Source: the Materials Project database
Functional: PBE with a Hubbard U
Structure: relaxed

Cell: 7.3732 7.3713 7.3706 Å, 60.02 59.99 59.98°
Fractional coordinates of all 22 atoms:
O 0.1923 0.3076 0.5581
O 0.1934 0.3066 0.1934
O 0.3080 0.0570 0.9427
W 0.2492 0.5017 0.2485
O 0.1930 0.9420 0.5578
W 0.2485 0.0006 0.2492
H 0.4721 0.4332 0.6805
O 0.9424 0.0577 0.3081
O 0.3085 0.6915 0.3085
O 0.5585 0.9415 0.5585
O 0.8833 0.6167 0.8833
O 0.5578 0.3073 0.1930
H 0.6805 0.4141 0.4721
O 0.9434 0.0566 0.9434
O 0.6333 0.3667 0.6333
O 0.5581 0.9419 0.1923
H 0.8168 0.7779 0.8359
W 0.7483 0.0008 0.2494
H 0.8359 0.5695 0.8168
W 0.2494 0.0015 0.7483
O 0.3081 0.6919 0.9424
O 0.9427 0.6922 0.3080

Computed properties:
Its crystal system is orthorhombic. Its volume is 12.876 Å³/atom. As for the space-group type: Fdd2, No. 43. The calculation puts the total magnetization at 0.04 μB per cell.



3.
Compound: H2W2O7
Source: the Materials Project database
Functional: PBE with a Hubbard U
Structure: relaxed

Cell: 7.4026 7.4026 7.4026 Å, 120.57 119.66 89.80°
Fractional coordinates of all 22 atoms:
O 0.8091 0.0881 0.2210
O 0.5785 0.8208 0.6482
O 0.4759 0.3148 0.6611
O 0.1632 0.9254 0.3646
W 0.5465 0.0000 0.5465
O 0.1632 0.2986 0.7378
O 0.4392 0.0746 0.2378
O 0.8274 0.5697 0.1482
H 0.0181 0.8195 0.6986
W 0.4693 0.9852 0.9841
O 0.8274 0.1792 0.7577
H 0.8791 0.1805 0.1986
O 0.4392 0.7014 0.8646
W 0.9989 0.0148 0.4841
O 0.5785 0.4303 0.2577
O 0.3463 0.6852 0.1611
O 0.7050 0.8528 0.3523
H 0.2446 0.5922 0.1524
W 0.5465 0.5000 0.0465
O 0.1329 0.9119 0.7210
H 0.5602 0.4078 0.6524
O 0.4995 0.1472 0.8523

Computed properties:
Its crystal system is orthorhombic. Its volume is 13.014 Å³/atom. As for the space-group type: Ima2, No. 46. The calculation puts the total magnetization at 0.00 μB per cell.



Preferred: 2; penalty for the next structure: 0.265 eV/atom.



1.
Compound: H2WO5
Source: the Materials Project database
Functional: PBE with a Hubbard U
Structure: relaxed

Cell: 3.9479 7.5602 12.5396 Å, 69.82 90.00 90.00°
Fractional coordinates of all 32 atoms:
W 0.0735 0.8155 0.8185
O 0.5711 0.8975 0.7804
H 0.5686 0.6713 0.1445
W 0.4265 0.8155 0.3185
H 0.9314 0.6713 0.6445
O 0.6193 0.5635 0.3575
O 0.9289 0.8975 0.2804
O 0.2529 0.5570 0.8616
O 0.0756 0.8430 0.9514
O 0.3807 0.4365 0.6425
O 0.0330 0.7921 0.6420
O 0.2471 0.5570 0.3616
H 0.4314 0.3287 0.8555
O 0.4289 0.1025 0.2196
H 0.1970 0.8274 0.5779
H 0.3030 0.8274 0.0779
O 0.5330 0.2079 0.8580
O 0.9670 0.2079 0.3580
O 0.7471 0.4430 0.1384
O 0.4244 0.8430 0.4514
O 0.7529 0.4430 0.6384
H 0.6970 0.1726 0.9221
O 0.4670 0.7921 0.1420
W 0.5735 0.1845 0.6815
O 0.1193 0.4365 0.1425
O 0.8807 0.5635 0.8575
O 0.0711 0.1025 0.7196
H 0.0686 0.3287 0.3555
O 0.5756 0.1570 0.5486
W 0.9265 0.1845 0.1815
H 0.8030 0.1726 0.4221
O 0.9244 0.1570 0.0486

Computed properties:
Its crystal system is monoclinic. Its volume is 10.977 Å³/atom. As for the space-group type: P2_1/c, No. 14. The calculation puts the total magnetization at 0.00 μB per cell.



2.
Compound: H2WO5
Source: the Materials Project database
Functional: PBE with a Hubbard U
Structure: relaxed

Cell: 3.9538 7.5120 11.9723 Å, 70.82 90.00 90.00°
Fractional coordinates of all 32 atoms:
O 0.4293 0.7956 0.1417
O 0.1235 0.4403 0.1398
O 0.3765 0.4403 0.6398
O 0.9293 0.2044 0.3583
O 0.7465 0.4496 0.6343
O 0.0707 0.7956 0.6417
O 0.4286 0.1059 0.2205
O 0.6235 0.5597 0.3602
H 0.7811 0.1645 0.9726
O 0.2465 0.5504 0.8657
O 0.9286 0.8941 0.2795
O 0.8765 0.5597 0.8602
H 0.9422 0.6838 0.6396
O 0.0714 0.1059 0.7205
W 0.4286 0.8107 0.3058
O 0.0849 0.8438 0.9521
O 0.4151 0.8438 0.4521
H 0.2811 0.8355 0.5274
H 0.4422 0.3162 0.8604
O 0.2535 0.5504 0.3657
H 0.5578 0.6838 0.1396
H 0.7189 0.1645 0.4726
O 0.5714 0.8941 0.7795
H 0.2189 0.8355 0.0274
O 0.7535 0.4496 0.1343
O 0.9151 0.1562 0.0479
W 0.9286 0.1893 0.1942
O 0.5707 0.2044 0.8583
H 0.0578 0.3162 0.3604
O 0.5849 0.1562 0.5479
W 0.5714 0.1893 0.6942
W 0.0714 0.8107 0.8058

Computed properties:
Its crystal system is monoclinic. Its volume is 10.495 Å³/atom. As for the space-group type: P2_1/c, No. 14. The calculation puts the total magnetization at 0.00 μB per cell.



Preferred: 1; penalty for the next structure: 0.038 eV/atom.



1.
Compound: HfMg6NiO8
Source: the Materials Project database
Functional: PBE with a Hubbard U
Structure: relaxed

Cell: 9.1157 4.2553 4.2553 Å, 90.00 90.00 90.00°
Fractional coordinates of all 16 atoms:
Mg 0.2620 0.5000 0.0000
Ni 0.0000 0.0000 0.0000
O 0.2745 0.0000 0.0000
Mg 0.7380 0.5000 0.0000
O 0.0000 0.5000 0.0000
Mg 0.5000 0.0000 0.0000
O 0.2483 0.5000 0.5000
O 0.7517 0.5000 0.5000
O 0.0000 0.0000 0.5000
O 0.5000 0.0000 0.5000
Mg 0.7380 0.0000 0.5000
O 0.5000 0.5000 0.0000
Hf 0.0000 0.5000 0.5000
Mg 0.2620 0.0000 0.5000
Mg 0.5000 0.5000 0.5000
O 0.7255 0.0000 0.0000

Computed properties:
Its crystal system is tetragonal. Its volume is 10.317 Å³/atom. As for the space-group type: P4/mmm, No. 123. The calculation puts the total magnetization at 1.77 μB per cell.



2.
Compound: HfMg6NiO8
Source: the Materials Project database
Functional: PBE with a Hubbard U
Structure: relaxed

Cell: 9.1789 4.2850 4.2850 Å, 90.00 90.00 90.00°
Fractional coordinates of all 16 atoms:
Mg 0.7733 0.5000 0.0000
O 0.5000 0.5000 0.0000
O 0.0000 0.5000 0.0000
Mg 0.2267 0.5000 0.0000
O 0.5000 0.0000 0.5000
O 0.7557 0.5000 0.5000
Mg 0.0000 0.5000 0.5000
Mg 0.7733 0.0000 0.5000
Mg 0.5000 0.5000 0.5000
O 0.0000 0.0000 0.5000
Hf 0.5000 0.0000 0.0000
O 0.7257 0.0000 0.0000
O 0.2443 0.5000 0.5000
Ni 0.0000 0.0000 0.0000
Mg 0.2267 0.0000 0.5000
O 0.2743 0.0000 0.0000

Computed properties:
Its crystal system is tetragonal. Its volume is 10.533 Å³/atom. As for the space-group type: P4/mmm, No. 123. The calculation puts the total magnetization at 1.01 μB per cell.



Preferred: 1; penalty for the next structure: 0.007 eV/atom.



1.
Compound: HfMg14WO16
Source: the Materials Project database
Functional: PBE with a Hubbard U
Structure: relaxed

Cell: 8.7082 8.7082 4.3026 Å, 90.00 90.00 90.00°
Fractional coordinates of all 32 atoms:
Mg 0.2403 0.7597 0.0000
Mg 0.5000 0.7602 0.5000
O 0.2517 0.7483 0.5000
Mg 0.2403 0.2403 0.0000
Mg 0.2486 0.0000 0.5000
O 0.2517 0.2517 0.5000
Mg 0.0000 0.7514 0.5000
O 0.7483 0.2517 0.5000
Mg 0.7597 0.2403 0.0000
O 0.7296 0.0000 0.0000
O 0.2704 0.0000 0.0000
O 0.0000 0.0000 0.5000
Mg 0.7597 0.7597 0.0000
Mg 0.0000 0.5000 0.0000
Mg 0.7602 0.5000 0.5000
O 0.0000 0.2704 0.0000
O 0.7470 0.5000 0.0000
O 0.2530 0.5000 0.0000
O 0.5000 0.7470 0.0000
O 0.0000 0.7296 0.0000
O 0.5000 0.0000 0.5000
Mg 0.2398 0.5000 0.5000
W 0.0000 0.0000 0.0000
O 0.5000 0.5000 0.5000
O 0.5000 0.2530 0.0000
Hf 0.5000 0.5000 0.0000
Mg 0.7514 0.0000 0.5000
Mg 0.0000 0.2486 0.5000
O 0.7483 0.7483 0.5000
Mg 0.5000 0.2398 0.5000
Mg 0.5000 0.0000 0.0000
O 0.0000 0.5000 0.5000

Computed properties:
Its crystal system is tetragonal. Its volume is 10.196 Å³/atom. As for the space-group type: P4/mmm, No. 123. The calculation puts the total magnetization at 0.68 μB per cell.



2.
Compound: HfMg14WO16
Source: the Materials Project database
Functional: PBE with a Hubbard U
Structure: relaxed

Cell: 8.7195 8.7138 4.3470 Å, 90.00 90.00 90.00°
Fractional coordinates of all 32 atoms:
Mg 0.2575 0.5000 0.5000
Mg 0.7434 0.7557 0.0000
O 0.7339 0.0000 0.0000
Mg 0.7423 0.0000 0.5000
Mg 0.5000 0.2496 0.5000
Mg 0.5000 0.0000 0.0000
O 0.2497 0.7502 0.5000
Mg 0.5000 0.5000 0.0000
O 0.2661 0.0000 0.0000
O 0.2559 0.5000 0.0000
Mg 0.2566 0.7557 0.0000
O 0.0000 0.0000 0.5000
O 0.5000 0.5000 0.5000
O 0.7441 0.5000 0.0000
Hf 0.0000 0.5000 0.0000
Mg 0.2566 0.2443 0.0000
O 0.7503 0.7502 0.5000
O 0.0000 0.2607 0.0000
O 0.7503 0.2498 0.5000
O 0.2497 0.2498 0.5000
O 0.5000 0.0000 0.5000
Mg 0.0000 0.2454 0.5000
O 0.5000 0.2522 0.0000
Mg 0.7434 0.2443 0.0000
O 0.0000 0.5000 0.5000
O 0.5000 0.7478 0.0000
Mg 0.5000 0.7504 0.5000
Mg 0.7425 0.5000 0.5000
W 0.0000 0.0000 0.0000
O 0.0000 0.7393 0.0000
Mg 0.2577 0.0000 0.5000
Mg 0.0000 0.7546 0.5000

Computed properties:
Its crystal system is orthorhombic. Its volume is 10.321 Å³/atom. As for the space-group type: Pmmm, No. 47. The calculation puts the total magnetization at 1.65 μB per cell.



Preferred: 2; penalty for the next structure: 0.035 eV/atom.



1.
Compound: Ho5MgMo2O12
Source: the Materials Project database
Functional: PBE with a Hubbard U
Structure: relaxed

Cell: 6.0202 7.0874 7.8335 Å, 108.46 84.26 120.60°
Fractional coordinates of all 20 atoms:
Ho 0.3060 0.6353 0.6346
O 0.4739 0.3596 0.1003
Mo 0.7489 0.9873 0.9967
Mg 0.0937 0.3621 0.8628
O 0.4724 0.6146 0.8964
O 0.0634 0.0485 0.8133
Ho 0.7018 0.4014 0.3308
Mo 0.2259 0.9936 0.0052
O 0.5167 0.0115 0.8234
Ho 0.3759 0.6463 0.2136
O 0.1151 0.6939 0.4395
Ho 0.0324 0.9998 0.4814
O 0.0298 0.6413 0.8765
O 0.9508 0.9583 0.1904
O 0.4659 0.9902 0.1814
O 0.9713 0.3531 0.1051
O 0.6161 0.7008 0.4385
O 0.4384 0.3016 0.5482
Ho 0.6298 0.3697 0.8026
O 0.9489 0.2829 0.6113

Computed properties:
Its crystal system is triclinic. Its volume is 13.606 Å³/atom. As for the space-group type: P1, No. 1. The calculation puts the total magnetization at 5.00 μB per cell.



2.
Compound: Ho5MgMo2O12
Source: the Materials Project database
Functional: PBE with a Hubbard U
Structure: relaxed

Cell: 5.9037 7.1648 7.4251 Å, 105.54 89.35 115.49°
Fractional coordinates of all 20 atoms:
O 0.4922 0.9754 0.1876
O 0.8902 0.2996 0.5698
O 0.3996 0.3012 0.5674
Mo 0.2409 0.0003 0.0015
Mg 0.8589 0.7085 0.6769
Ho 0.6784 0.3636 0.8470
O 0.9156 0.3478 0.0920
Ho 0.2956 0.5885 0.6477
O 0.6107 0.6847 0.4545
O 0.5079 0.9998 0.8101
Ho 0.6838 0.3672 0.3397
Mo 0.7645 0.0024 0.9988
Ho 0.3112 0.6131 0.1921
O 0.4355 0.3495 0.0979
O 0.0111 0.0198 0.7950
O 0.9862 0.9907 0.1982
O 0.5935 0.6598 0.8793
Ho 0.0076 0.0448 0.4951
O 0.0611 0.6583 0.8748
O 0.0782 0.6732 0.4507

Computed properties:
Its crystal system is triclinic. Its volume is 13.560 Å³/atom. As for the space-group type: P1, No. 1. The calculation puts the total magnetization at 5.01 μB per cell.



Preferred: 1; penalty for the next structure: 0.028 eV/atom.